No. 1
Entry from the Materials Project: a relaxed structure of V2Se3O11 (PBE+U).

Structure (CIF):
```
data_V2Se3O11
_chemical_formula_sum 'V8 Se12 O44'
_space_group_name_H-M_alt 'P 1'
_space_group_IT_number 1
_space_group_name_Hall 'P 1'
_cell_length_a 6.4288
_cell_length_b 9.4983
_cell_length_c 15.4019
_cell_angle_alpha 86.76
_cell_angle_beta 90.00
_cell_angle_gamma 90.00
loop_
_atom_site_label
_atom_site_type_symbol
_atom_site_fract_x
_atom_site_fract_y
_atom_site_fract_z
O1 O 0.6754 0.2183 0.3126
O2 O 0.2177 0.1135 0.0856
O3 O 0.1091 0.0043 0.7236
O4 O 0.6836 0.6101 0.0777
O5 O 0.5239 0.0363 0.1966
O6 O 0.2751 0.3015 0.2764
O7 O 0.7707 0.0043 0.6136
O8 O 0.1836 0.8899 0.9223
O9 O 0.0113 0.3590 0.0375
O10 O 0.8164 0.1101 0.0777
O11 O 0.2707 0.4957 0.3864
O12 O 0.3164 0.3899 0.9223
O13 O 0.3246 0.7817 0.6874
O14 O 0.9735 0.8052 0.1105
O15 O 0.8843 0.2736 0.5592
O16 O 0.2823 0.6135 0.0856
O17 O 0.7823 0.8865 0.9144
O18 O 0.7751 0.1985 0.7236
O19 O 0.6157 0.7736 0.5592
O20 O 0.2293 0.9957 0.3864
O21 O 0.7293 0.5043 0.6136
O22 O 0.0265 0.1948 0.8895
O23 O 0.6668 0.4324 0.4480
O24 O 0.3332 0.5676 0.5520
O25 O 0.6091 0.4957 0.2764
O26 O 0.9761 0.5363 0.1966
O27 O 0.1668 0.0676 0.5520
O28 O 0.5113 0.1410 0.9625
O29 O 0.4761 0.9637 0.8034
O30 O 0.1754 0.2817 0.6874
O31 O 0.8246 0.7183 0.3126
O32 O 0.7249 0.6985 0.7236
O33 O 0.4735 0.6948 0.8895
O34 O 0.2249 0.8015 0.2764
O35 O 0.3843 0.2264 0.4408
O36 O 0.3909 0.5043 0.7236
O37 O 0.1157 0.7264 0.4408
O38 O 0.0239 0.4637 0.8034
O39 O 0.8332 0.9324 0.4480
O40 O 0.4887 0.8590 0.0375
O41 O 0.5265 0.3052 0.1105
O42 O 0.9887 0.6410 0.9625
O43 O 0.8909 0.9957 0.2764
O44 O 0.7177 0.3865 0.9144
Se1 Se 0.3664 0.9603 0.6996
Se2 Se 0.1336 0.4603 0.6996
Se3 Se 0.0115 0.2160 0.1160
Se4 Se 0.6336 0.0397 0.3004
Se5 Se 0.8568 0.8648 0.5524
Se6 Se 0.1432 0.1352 0.4476
Se7 Se 0.3568 0.6352 0.4476
Se8 Se 0.6432 0.3648 0.5524
Se9 Se 0.4885 0.7160 0.1160
Se10 Se 0.8664 0.5397 0.3004
Se11 Se 0.9885 0.7840 0.8840
Se12 Se 0.5115 0.2840 0.8840
V1 V 0.4507 0.3525 0.3434
V2 V 0.4817 0.8568 0.9120
V3 V 0.9507 0.1475 0.6566
V4 V 0.5493 0.6475 0.6566
V5 V 0.0493 0.8525 0.3434
V6 V 0.9817 0.6432 0.0880
V7 V 0.5183 0.1432 0.0880
V8 V 0.0183 0.3568 0.9120
```

Uncorrected energy, eV for the cell shown: -395.1

***

No. 2
Entry from the Materials Project: a relaxed structure of SrVSi2O7 (PBE+U).

Structure (CIF):
```
data_SrVSi2O7
_chemical_formula_sum 'Sr2 V2 Si4 O14'
_space_group_name_H-M_alt 'P 1'
_space_group_IT_number 1
_space_group_name_Hall 'P 1'
_cell_length_a 7.8916
_cell_length_b 7.8916
_cell_length_c 7.1138
_cell_angle_alpha 90.00
_cell_angle_beta 90.00
_cell_angle_gamma 140.12
loop_
_atom_site_label
_atom_site_type_symbol
_atom_site_fract_x
_atom_site_fract_y
_atom_site_fract_z
O1 O 0.4017 0.0954 0.4393
O2 O 0.9970 0.0030 0.2500
O3 O 0.3627 0.6373 0.2500
O4 O 0.5983 0.9046 0.9393
O5 O 0.0954 0.4017 0.9393
O6 O 0.5000 0.5000 0.5000
O7 O 0.4017 0.0954 0.0607
O8 O 0.9046 0.5983 0.4393
O9 O 0.6373 0.3627 0.7500
O10 O 0.5000 0.5000 0.0000
O11 O 0.9046 0.5983 0.0607
O12 O 0.0030 0.9970 0.7500
O13 O 0.5983 0.9046 0.5607
O14 O 0.0954 0.4017 0.5607
V1 V 0.8921 0.1079 0.7500
V2 V 0.1079 0.8921 0.2500
Si1 Si 0.6078 0.3922 0.9760
Si2 Si 0.3922 0.6078 0.4760
Si3 Si 0.3922 0.6078 0.0240
Si4 Si 0.6078 0.3922 0.5240
Sr1 Sr 0.7958 0.2042 0.2500
Sr2 Sr 0.2042 0.7958 0.7500
```

Magnetization, μB per cell: 2.00
Uncorrected energy, eV for the cell shown: -168.4

***

No. 3
Entry from the Materials Project: a relaxed structure of SrVSi2O7 (PBE+U).

Structure (CIF):
```
data_SrVSi2O7
_chemical_formula_sum 'Sr2 V2 Si4 O14'
_space_group_name_H-M_alt 'P 1'
_space_group_IT_number 1
_space_group_name_Hall 'P 1'
_cell_length_a 5.3752
_cell_length_b 7.1228
_cell_length_c 7.8870
_cell_angle_alpha 90.00
_cell_angle_beta 109.92
_cell_angle_gamma 90.00
loop_
_atom_site_label
_atom_site_type_symbol
_atom_site_fract_x
_atom_site_fract_y
_atom_site_fract_z
Si1 Si 0.6221 0.4758 0.2158
Si2 Si 0.4062 0.5242 0.7842
Si3 Si 0.4062 0.9758 0.7842
Si4 Si 0.6221 0.0242 0.2158
O1 O 0.1092 0.4390 0.6956
O2 O 0.6096 0.4394 0.6908
O3 O 0.6096 0.0606 0.6908
O4 O 0.1092 0.0610 0.6956
O5 O 0.5157 0.5000 0.0000
O6 O 0.6498 0.2500 0.2735
O7 O 0.9188 0.5606 0.3092
O8 O 0.9188 0.9394 0.3092
O9 O 0.4136 0.9390 0.3044
O10 O 0.0066 0.2500 0.0061
O11 O 0.0005 0.7500 0.9939
O12 O 0.5157 0.0000 0.0000
O13 O 0.3762 0.7500 0.7265
O14 O 0.4136 0.5610 0.3044
V1 V 0.9036 0.2500 0.7838
V2 V 0.1198 0.7500 0.2162
Sr1 Sr 0.2217 0.2500 0.4109
Sr2 Sr 0.8107 0.7500 0.5891
```

Magnetization, μB per cell: 2.00
Uncorrected energy, eV for the cell shown: -168.4

***

No. 4
Entry from the Materials Project: a relaxed structure of VSi2O6 (PBE+U).

Structure (CIF):
```
data_VSi2O6
_chemical_formula_sum 'V6 Si12 O36'
_space_group_name_H-M_alt 'P 1'
_space_group_IT_number 1
_space_group_name_Hall 'P 1'
_cell_length_a 7.0597
_cell_length_b 7.2988
_cell_length_c 14.0812
_cell_angle_alpha 95.95
_cell_angle_beta 86.57
_cell_angle_gamma 76.64
loop_
_atom_site_label
_atom_site_type_symbol
_atom_site_fract_x
_atom_site_fract_y
_atom_site_fract_z
O1 O 0.1186 0.2768 0.5482
O2 O 0.1518 0.5904 0.0799
O3 O 0.6518 0.5905 0.5798
O4 O 0.3482 0.4094 0.4201
O5 O 0.6655 0.8440 0.8685
O6 O 0.0119 0.2146 0.0399
O7 O 0.4817 0.3219 0.7249
O8 O 0.2261 0.4438 0.8876
O9 O 0.2739 0.5563 0.6124
O10 O 0.7739 0.5563 0.1124
O11 O 0.5721 0.9525 0.6645
O12 O 0.9817 0.3219 0.2249
O13 O 0.4880 0.7854 0.4600
O14 O 0.1654 0.8444 0.3683
O15 O 0.3815 0.7231 0.9519
O16 O 0.1007 0.2837 0.7363
O17 O 0.5183 0.6781 0.2751
O18 O 0.5119 0.2145 0.5399
O19 O 0.0183 0.6781 0.7751
O20 O 0.3014 0.0529 0.8769
O21 O 0.8012 0.0529 0.3767
O22 O 0.1987 0.9471 0.6233
O23 O 0.6186 0.2769 0.0481
O24 O 0.8345 0.1555 0.6318
O25 O 0.8992 0.7165 0.2636
O26 O 0.7261 0.4438 0.3876
O27 O 0.6986 0.9471 0.1231
O28 O 0.8483 0.4095 0.9201
O29 O 0.3346 0.1560 0.1315
O30 O 0.0722 0.9526 0.1644
O31 O 0.4279 0.0475 0.3355
O32 O 0.9881 0.7854 0.9601
O33 O 0.6008 0.2837 0.2362
O34 O 0.9279 0.0475 0.8356
O35 O 0.8814 0.7232 0.4518
O36 O 0.3992 0.7163 0.7637
Si1 Si 0.4404 0.8384 0.8649
Si2 Si 0.8029 0.3735 0.0302
Si3 Si 0.6972 0.6265 0.4697
Si4 Si 0.8943 0.8446 0.8579
Si5 Si 0.1972 0.6264 0.9698
Si6 Si 0.3029 0.3734 0.5303
Si7 Si 0.3942 0.8446 0.3578
Si8 Si 0.1058 0.1555 0.1421
Si9 Si 0.5596 0.1616 0.1351
Si10 Si 0.9403 0.8385 0.3648
Si11 Si 0.0596 0.1615 0.6352
Si12 Si 0.6057 0.1554 0.6422
V1 V 0.9262 0.7730 0.1321
V2 V 0.5738 0.2271 0.3678
V3 V 0.7500 0.5000 0.2499
V4 V 0.2500 0.5001 0.7500
V5 V 0.0739 0.2270 0.8679
V6 V 0.4261 0.7729 0.6321
```

Energy relative to the lowest polymorph listed for this composition, meV per atom: 26
Magnetization, μB per cell: 0.00